DFT (GGA-PBE) results for a relaxed Hg4C5N4O crystal. Values from VASP.

Quantum ESPRESSO input file:
```
&SYSTEM
  ibrav = 0, nat = 56, ntyp = 4
/
ATOMIC_SPECIES
N 14.01 N.upf
Hg 200.59 Hg.upf
C 12.01 C.upf
O 16.00 O.upf
CELL_PARAMETERS angstrom
14.031 0.000 0.000
0.000 8.621 0.000
0.000 0.434 10.954
ATOMIC_POSITIONS crystal
N 0.329 0.742 0.965
N 0.829 0.758 0.535
N 0.931 0.749 0.952
N 0.132 0.768 0.224
N 0.876 0.382 0.241
N 0.431 0.751 0.548
N 0.124 0.618 0.759
N 0.632 0.732 0.276
N 0.624 0.882 0.741
N 0.569 0.249 0.452
N 0.368 0.268 0.724
N 0.868 0.232 0.776
N 0.069 0.251 0.048
N 0.376 0.118 0.259
N 0.171 0.242 0.465
N 0.671 0.258 0.035
Hg 0.251 0.412 0.175
Hg 0.993 0.089 0.323
Hg 0.007 0.911 0.677
Hg 0.626 0.258 0.740
Hg 0.507 0.589 0.823
Hg 0.249 0.912 0.675
Hg 0.374 0.742 0.260
Hg 0.629 0.596 0.557
Hg 0.874 0.758 0.240
Hg 0.129 0.904 0.943
Hg 0.126 0.242 0.760
Hg 0.371 0.404 0.443
Hg 0.749 0.588 0.825
Hg 0.871 0.096 0.057
Hg 0.751 0.088 0.325
Hg 0.493 0.411 0.177
C 0.633 0.183 0.408
C 0.367 0.817 0.592
C 0.130 0.817 0.123
C 0.888 0.824 0.588
C 0.375 0.983 0.263
C 0.133 0.317 0.092
C 0.872 0.000 0.237
C 0.388 0.676 0.912
C 0.875 0.517 0.237
C 0.870 0.183 0.877
C 0.112 0.176 0.412
C 0.612 0.324 0.088
C 0.372 0.500 0.263
C 0.630 0.683 0.377
C 0.867 0.683 0.908
C 0.625 0.017 0.737
C 0.128 0.000 0.763
C 0.370 0.317 0.623
C 0.125 0.483 0.763
C 0.628 0.500 0.737
O 0.380 0.242 0.977
O 0.880 0.258 0.523
O 0.620 0.758 0.023
O 0.120 0.742 0.477
```

**MP2020-corrected energy**: -301.06 eV for the cell shown
**DFT formation energy**: 742 meV/atom
**Spin magnetization**: 0.143 μB/atom
**Space group**: P2_1/c (14)